No. 1
Density functional theory data (PBE-GGA) for a relaxed LiRu2N3 crystal.

## Properties
The value obtained for the electronic total energy is -44.5 eV/f.u. The formation energy is -0.01 eV/atom. Its magnetic moment is 0.00 μB per formula unit. The calculated volume comes out at 146.5 Å³/cell.

abc: 5.6595 5.6993 5.2581
angles: 90.00 90.00 120.23
Last column: nearest neighbours and their distance in Å.
Element x y z (fractional)
Li 0.0000 0.6658 0.4893  4 N 2.09-2.16
Ru 0.6669 0.6666 0.9886  4 N 1.88-1.96
N 0.0000 0.3089 0.3993  2 Ru 1.88, 1 Li 2.09
Li 0.0000 0.3342 0.9893  4 N 2.09-2.16
Ru 0.3331 0.9997 0.9886  4 N 1.88-1.96
N 0.6407 0.6664 0.3611  3 Ru 1.94-1.96, 1 Li 2.14
Ru 0.3331 0.3334 0.4886  4 N 1.88-1.96
Ru 0.6669 0.0003 0.4886  4 N 1.88-1.96
N 0.3593 0.0258 0.3611  3 Ru 1.94-1.96, 1 Li 2.14
N 0.3593 0.3336 0.8611  3 Ru 1.94-1.96, 1 Li 2.14
N 0.0000 0.6911 0.8993  2 Ru 1.88, 1 Li 2.09
N 0.6407 0.9742 0.8611  3 Ru 1.94-1.96, 1 Li 2.14

***

No. 2
Density functional theory data (PBE-GGA) for a relaxed LiCuPO4 crystal.

## Properties
Its energy above the lowest structure with this stoichiometry is 46 meV/atom. The value obtained for the electronic total energy is -43.5 eV/f.u. The formation energy is -2.15 eV/atom. Its magnetic moment is 1.00 μB per formula unit. The calculated volume comes out at 461.8 Å³/cell.

abc: 7.4357 7.4357 9.4730
angles: 88.47 88.47 118.00
Last column: nearest neighbours and their distance in Å.
Element x y z (fractional)
O 0.1662 0.7124 0.6281  1 P 1.54
O 0.2218 0.1237 0.4411  1 P 1.55
O 0.5475 0.8275 0.6229  1 P 1.55
Cu 0.0206 0.5920 0.9582  3 O 1.92-2.00
O 0.9957 0.9975 0.1656  1 P 1.53
O 0.1237 0.2218 0.9411  1 P 1.55
Cu 0.5920 0.0206 0.4582  3 O 1.92-2.00
O 0.8868 0.3734 0.8277  1 P 1.55
P 0.0002 0.9986 0.5035  4 O 1.53-1.57
P 0.3373 0.6782 0.2730  4 O 1.55-1.57
O 0.8806 0.1116 0.4479  1 P 1.57
P 0.6581 0.3327 0.1728  4 O 1.54-1.60
O 0.6943 0.3546 0.6075  1 P 1.57
Li 0.7421 0.7942 0.7583  4 O 1.94-2.05
Li 0.7942 0.7421 0.2583  4 O 1.94-2.05
O 0.9052 0.7821 0.4451  1 P 1.55
O 0.9975 0.9957 0.6656  1 P 1.53
Li 0.0488 0.2507 0.7508  4 O 1.94-2.05
Li 0.9586 0.2183 0.2492  4 O 1.97-2.08
Li 0.2507 0.0488 0.2508  4 O 1.94-2.05
O 0.5108 0.1200 0.8213  1 P 1.55
P 0.6782 0.3373 0.7730  4 O 1.55-1.57
Cu 0.5248 0.9439 0.9809  4 O 2.01-2.16
P 0.3327 0.6581 0.6728  4 O 1.54-1.60
Li 0.2183 0.9586 0.7492  4 O 1.97-2.08
O 0.3734 0.8868 0.3277  1 P 1.55
P 0.9986 0.0002 0.0035  4 O 1.53-1.57
O 0.7821 0.9052 0.9451  1 P 1.55
Cu 0.9439 0.5248 0.4809  4 O 2.01-2.16
Cu 0.3991 0.4495 0.9659  4 O 1.98-2.11
O 0.7124 0.1662 0.1281  1 P 1.54
O 0.1116 0.8806 0.9479  1 P 1.57
O 0.5048 0.6286 0.3274  1 P 1.55
O 0.6286 0.5048 0.8274  1 P 1.55
O 0.3546 0.6943 0.1075  1 P 1.57
Cu 0.4495 0.3991 0.4659  4 O 1.98-2.11
O 0.3249 0.6438 0.8418  1 P 1.60
O 0.1200 0.5108 0.3213  1 P 1.55
O 0.6438 0.3249 0.3418  1 P 1.60
O 0.2921 0.4465 0.6208  1 P 1.55
O 0.4465 0.2921 0.1208  1 P 1.55
O 0.8275 0.5475 0.1229  1 P 1.55

***

No. 3
Density functional theory data (PBE-GGA) for a relaxed K3Zr6BeCl15 crystal.

## Properties
The value obtained for the electronic total energy is -128.8 eV/f.u. The formation energy is -2.08 eV/atom. Its magnetic moment is 0.00 μB per formula unit. The calculated volume comes out at 1379.3 Å³/cell.

abc: 10.1400 10.1400 14.3332
angles: 87.74 87.74 69.55
Last column: nearest neighbours and their distance in Å.
Element x y z (fractional)
Cl 0.0000 0.0000 0.0000  2 Zr 2.74
Be 0.0000 0.5000 0.5000  6 Zr 2.33-2.37
Cl 0.1936 0.1583 0.8543  2 Zr 2.58-2.62
K 0.3589 0.8679 0.4320  5 Cl 3.16-3.52
Zr 0.4250 0.1977 0.0972  1 Be 2.37, 4 Cl 2.59-2.63
Cl 0.2203 0.6752 0.6020  2 Zr 2.60-2.63
Zr 0.5471 0.8482 0.1341  1 Be 2.37, 4 Cl 2.58-2.62
K 0.6411 0.1321 0.5680  5 Cl 3.16-3.52
Zr 0.8023 0.5750 0.4028  1 Be 2.37, 4 Cl 2.59-2.63
Zr 0.0012 0.7299 0.4987  1 Be 2.33, 4 Cl 2.58-2.60
Cl 0.7093 0.1572 0.8495  2 Zr 2.58-2.62
Zr 0.8482 0.5471 0.6341  1 Be 2.37, 4 Cl 2.58-2.62
Cl 0.1602 0.2192 0.1008  2 Zr 2.58-2.62
Cl 0.0485 0.4817 0.7514  2 Zr 2.58-2.59
Cl 0.7797 0.3248 0.3980  2 Zr 2.60-2.63
Cl 0.4217 0.3286 0.7108  2 Zr 2.72-2.76
Cl 0.1583 0.1936 0.3543  2 Zr 2.58-2.62
Cl 0.8417 0.8064 0.6457  2 Zr 2.58-2.62
Cl 0.5783 0.6714 0.2892  2 Zr 2.72-2.76
Cl 0.6188 0.6322 0.5404  2 Zr 2.59-2.60
Cl 0.2192 0.1602 0.6008  2 Zr 2.58-2.62
Cl 0.6752 0.2203 0.1020  2 Zr 2.60-2.63
Cl 0.6322 0.6188 0.0404  2 Zr 2.59-2.60
Cl 0.4817 0.0485 0.2514  2 Zr 2.58-2.59
Zr 0.9988 0.2701 0.5013  1 Be 2.33, 4 Cl 2.58-2.60
Cl 0.1572 0.7093 0.3495  2 Zr 2.58-2.62
Cl 0.3678 0.3812 0.9596  2 Zr 2.59-2.60
Cl 0.6714 0.5783 0.7892  2 Zr 2.72-2.76
K 0.8679 0.3589 0.9320  5 Cl 3.16-3.52
Zr 0.1518 0.4529 0.3659  1 Be 2.37, 4 Cl 2.58-2.62
Cl 0.8428 0.2907 0.6505  2 Zr 2.58-2.62
Cl 0.2907 0.8428 0.1505  2 Zr 2.58-2.62
Cl 0.3286 0.4217 0.2108  2 Zr 2.72-2.76
Cl 0.3812 0.3678 0.4596  2 Zr 2.59-2.60
Zr 0.2701 0.9988 0.0013  1 Be 2.33, 4 Cl 2.58-2.60
Zr 0.1977 0.4250 0.5972  1 Be 2.37, 4 Cl 2.59-2.63
K 0.9381 0.0619 0.2500  10 Cl 3.37-3.75
Cl 0.0000 0.0000 0.5000  2 Zr 2.74
K 0.1321 0.6411 0.0680  5 Cl 3.16-3.52
Cl 0.3248 0.7797 0.8980  2 Zr 2.60-2.63
K 0.0619 0.9381 0.7500  10 Cl 3.37-3.75
Zr 0.7299 0.0012 0.9987  1 Be 2.33, 4 Cl 2.58-2.60
Cl 0.8398 0.7808 0.8992  2 Zr 2.58-2.62
Cl 0.9515 0.5183 0.2486  2 Zr 2.58-2.59
Zr 0.5750 0.8023 0.9028  1 Be 2.37, 4 Cl 2.59-2.63
Cl 0.5183 0.9515 0.7486  2 Zr 2.58-2.59
Be 0.5000 0.0000 0.0000  6 Zr 2.33-2.37
Zr 0.4529 0.1518 0.8659  1 Be 2.37, 4 Cl 2.58-2.62
Cl 0.7808 0.8398 0.3992  2 Zr 2.58-2.62
Cl 0.8064 0.8417 0.1457  2 Zr 2.58-2.62

***

No. 4
Density functional theory data (PBE-GGA) for a relaxed Sm2MgSe4 crystal.

## Properties
Its energy above the lowest structure with this stoichiometry is 2 meV/atom. The value obtained for the electronic total energy is -36.7 eV/f.u. The formation energy is -1.94 eV/atom. Its magnetic moment is 0.00 μB per formula unit. The calculated volume comes out at 420.1 Å³/cell.

abc: 8.4069 8.4069 8.4069
angles: 60.00 60.00 60.00
Last column: nearest neighbours and their distance in Å.
Element x y z (fractional)
Se 0.3850 0.8717 0.8717  1 Mg 2.64, 3 Sm 2.93
Sm 0.6250 0.1250 0.6250  6 Se 2.93
Mg 0.0000 0.0000 0.0000  4 Se 2.64
Sm 0.6250 0.6250 0.6250  6 Se 2.93
Mg 0.2500 0.2500 0.2500  4 Se 2.64
Sm 0.6250 0.6250 0.1250  6 Se 2.93
Se 0.3783 0.3783 0.3783  1 Mg 2.64, 3 Sm 2.93
Se 0.8717 0.3850 0.8717  1 Mg 2.64, 3 Sm 2.93
Se 0.3783 0.8650 0.3783  1 Mg 2.64, 3 Sm 2.93
Se 0.3783 0.3783 0.8650  1 Mg 2.64, 3 Sm 2.93
Sm 0.1250 0.6250 0.6250  6 Se 2.93
Se 0.8650 0.3783 0.3783  1 Mg 2.64, 3 Sm 2.93
Se 0.8717 0.8717 0.3850  1 Mg 2.64, 3 Sm 2.93
Se 0.8717 0.8717 0.8717  1 Mg 2.64, 3 Sm 2.93

***

No. 5
Density functional theory data (PBE-GGA) for a relaxed K6CdPb8 crystal.

## Properties
The value obtained for the electronic total energy is -39.5 eV/f.u. The formation energy is -0.15 eV/atom. Its magnetic moment is 0.00 μB per formula unit. The calculated volume comes out at 1749.9 Å³/cell.

abc: 15.1185 15.1185 19.0130
angles: 63.95 63.95 26.83
Last column: nearest neighbours and their distance in Å.
Element x y z (fractional)
Cd 0.6336 0.6336 0.1126  6 Pb 3.14-3.25
Pb 0.4196 0.4196 0.7018  3 Pb 3.07-3.31, 1 Cd 3.15
Cd 0.3664 0.3664 0.8874  6 Pb 3.14-3.25
K 0.4284 0.4284 0.4464  8 Pb 3.78-4.13, 2 K 3.87-4.08
K 0.7260 0.7260 0.4734  8 Pb 3.60-4.01
K 0.0862 0.0862 0.3919  5 Pb 3.68-4.01, 1 K 3.89
Pb 0.4446 0.9287 0.1940  3 Pb 3.09-3.40, 1 Cd 3.14
Pb 0.8303 0.3424 0.0158  2 Cd 3.19-3.25, 3 Pb 3.21-3.42
Pb 0.3300 0.3300 0.6606  3 Pb 3.07-3.09
K 0.8123 0.8123 0.1879  4 K 3.85-4.15, 11 Pb 3.86-4.10
Cd 0.5000 0.5000 0.0000  6 Pb 3.16-3.19
Pb 0.6260 0.0966 0.3348  3 Pb 3.17-3.30
K 0.2109 0.2109 0.0025  9 Pb 3.80-3.99, 4 K 3.97-4.17, 3 Cd 4.08-4.19
Pb 0.3424 0.8303 0.0158  2 Cd 3.19-3.25, 3 Pb 3.21-3.42
K 0.1877 0.1877 0.8121  4 K 3.85-4.15, 11 Pb 3.86-4.10
K 0.4863 0.4863 0.2185  8 Pb 3.71-4.08, 2 Cd 3.87-3.99, 3 K 3.87-4.15
K 0.9229 0.9229 0.8060  5 Pb 3.49-3.73, 2 Cd 3.89, 1 K 3.89
K 0.2740 0.2740 0.5266  8 Pb 3.60-4.01
Pb 0.1536 0.1536 0.5143  3 Pb 3.06-3.17
Pb 0.9513 0.9513 0.3417  3 Pb 3.06-3.17
Pb 0.5554 0.0713 0.8060  3 Pb 3.09-3.40, 1 Cd 3.14
K 0.0445 0.0445 0.8689  4 K 3.85-4.25, 9 Pb 3.90-3.96, 2 Cd 4.16
K 0.9138 0.9138 0.6081  5 Pb 3.68-4.01, 1 K 3.89
Pb 0.6576 0.1697 0.9842  2 Cd 3.19-3.25, 3 Pb 3.21-3.42
Pb 0.6700 0.6700 0.3394  3 Pb 3.07-3.09
Pb 0.3740 0.9034 0.6652  3 Pb 3.17-3.30
Pb 0.3112 0.3112 0.0768  3 Pb 3.09-3.21, 1 Cd 3.21
Pb 0.6888 0.6888 0.9232  3 Pb 3.09-3.21, 1 Cd 3.21
K 0.5137 0.5137 0.7815  8 Pb 3.71-4.08, 2 Cd 3.87-3.99, 3 K 3.87-4.15
K 0.2502 0.2502 0.3110  7 Pb 3.62-3.98
K 0.9555 0.9555 0.1311  4 K 3.85-4.25, 9 Pb 3.90-3.96, 2 Cd 4.16
K 0.7891 0.7891 0.9975  9 Pb 3.80-3.99, 4 K 3.97-4.17, 3 Cd 4.08-4.19
Pb 0.0487 0.0487 0.6583  3 Pb 3.06-3.17
K 0.5716 0.5716 0.5536  8 Pb 3.78-4.13, 2 K 3.87-4.08
Pb 0.8464 0.8464 0.4857  3 Pb 3.06-3.17
Pb 0.9287 0.4446 0.1940  3 Pb 3.09-3.40, 1 Cd 3.14
Pb 0.0966 0.6260 0.3348  3 Pb 3.17-3.30
Pb 0.6104 0.6104 0.8564  3 Pb 3.09-3.27, 1 Cd 3.16
K 0.0771 0.0771 0.1940  5 Pb 3.49-3.73, 2 Cd 3.89, 1 K 3.89
Pb 0.1697 0.6576 0.9842  2 Cd 3.19-3.25, 3 Pb 3.21-3.42
K 0.7498 0.7498 0.6890  7 Pb 3.62-3.98
Pb 0.0713 0.5554 0.8060  3 Pb 3.09-3.40, 1 Cd 3.14
Pb 0.3896 0.3896 0.1436  3 Pb 3.09-3.27, 1 Cd 3.16
Pb 0.5804 0.5804 0.2982  3 Pb 3.07-3.31, 1 Cd 3.15
Pb 0.9034 0.3740 0.6652  3 Pb 3.17-3.30

***

No. 6
Density functional theory data (PBE-GGA) for a relaxed Gd crystal.

## Properties
Its energy above the lowest structure with this stoichiometry is 30 meV/atom. The value obtained for the electronic total energy is -14.0 eV/f.u. The formation energy is 0.03 eV/atom. The calculated volume comes out at 131.6 Å³/cell.

abc: 3.6127 3.6127 11.6442
angles: 90.00 90.00 120.00
Last column: nearest neighbours and their distance in Å.
Element x y z (fractional)
Gd 0.3333 0.6667 0.7500  12 Gd 3.58-3.61
Gd 0.0000 0.0000 0.0000  12 Gd 3.58-3.61
Gd 0.6667 0.3333 0.2500  12 Gd 3.58-3.61
Gd 0.0000 0.0000 0.5000  12 Gd 3.58-3.61

***

No. 7
Density functional theory data (PBE-GGA) for a relaxed MgO crystal.

## Properties
The value obtained for the electronic total energy is -11.8 eV/f.u. The formation energy is -2.98 eV/atom. The calculated volume comes out at 48.5 Å³/cell. The piezoelectric modulus e_max is 2.5 C/m².

abc: 3.3471 3.3471 5.0033
angles: 90.00 90.00 120.00
Last column: nearest neighbours and their distance in Å.
Element x y z (fractional)
O 0.3333 0.6667 0.4040  4 Mg 1.99-2.02
Mg 0.3333 0.6667 0.0006  4 O 1.99-2.02
O 0.6667 0.3333 0.9040  4 Mg 1.99-2.02
Mg 0.6667 0.3333 0.5006  4 O 1.99-2.02

***

No. 8
Density functional theory data (PBE-GGA) for a relaxed TlPb crystal.

## Properties
The value obtained for the electronic total energy is -6.1 eV/f.u. The formation energy is 0.00 eV/atom. The calculated volume comes out at 63.6 Å³/cell.

abc: 6.1439 6.1439 6.1439
angles: 33.69 33.69 33.69
Last column: nearest neighbours and their distance in Å.
Element x y z (fractional)
Tl 0.5000 0.5000 0.5000  6 Pb 3.55, 6 Tl 3.56
Pb 0.0000 0.0000 0.0000  6 Tl 3.55, 6 Pb 3.56

***

No. 9
Density functional theory data (PBE-GGA) for a relaxed YAsS crystal.

## Properties
The value obtained for the electronic total energy is -19.9 eV/f.u. The formation energy is -1.72 eV/atom. Its magnetic moment is 0.00 μB per formula unit. The calculated volume comes out at 252.2 Å³/cell.

abc: 3.8353 3.8529 17.0644
angles: 90.00 90.00 90.00
Last column: nearest neighbours and their distance in Å.
Element x y z (fractional)
Y 0.7500 0.2824 0.3542  5 S 2.80-2.86, 2 As 3.12
S 0.2500 0.7183 0.8133  5 Y 2.80-2.86
Y 0.7500 0.2176 0.8542  5 S 2.80-2.86, 2 As 3.12
As 0.2500 0.2815 0.0020  2 As 2.55
As 0.7500 0.7815 0.4980  2 As 2.55
As 0.7500 0.7185 0.9980  2 As 2.55
Y 0.2500 0.7176 0.6458  5 S 2.80-2.86, 2 As 3.12
Y 0.2500 0.7824 0.1458  5 S 2.80-2.86, 2 As 3.12
As 0.2500 0.2185 0.5020  2 As 2.55
S 0.2500 0.7817 0.3133  5 Y 2.80-2.86
S 0.7500 0.2183 0.6867  5 Y 2.80-2.86
S 0.7500 0.2817 0.1867  5 Y 2.80-2.86

***

No. 10
Density functional theory data (PBE-GGA) for a relaxed CdHgSBr crystal.

## Properties
The value obtained for the electronic total energy is -7.9 eV/f.u. The formation energy is -0.49 eV/atom. Its magnetic moment is 0.00 μB per formula unit. The calculated volume comes out at 484.1 Å³/cell.

abc: 10.4379 10.4379 5.5840
angles: 90.00 90.00 127.27
Last column: nearest neighbours and their distance in Å.
Element x y z (fractional)
Br 0.5000 0.5000 0.0000  4 Cd 3.24, 4 Hg 3.52
S 0.3888 0.1316 0.5000  2 Hg 2.41-2.43
S 0.1316 0.3888 0.5000  2 Hg 2.41-2.43
Hg 0.1449 0.8551 0.5000  2 S 2.43
Hg 0.7311 0.7311 0.5000  2 S 2.41
S 0.6112 0.8684 0.5000  2 Hg 2.41-2.43
Cd 0.8513 0.5783 0.0000  2 S 2.81, 1 Br 3.02
Hg 0.2689 0.2689 0.5000  2 S 2.41
Br 0.0000 0.0000 0.0000  4 Cd 3.67, 8 Hg 3.74-3.89
Cd 0.1487 0.4217 0.0000  2 S 2.81, 1 Br 3.02
Br 0.7576 0.2424 0.0000  4 Cd 3.02-3.30, 2 Hg 3.33
S 0.8684 0.6112 0.5000  2 Hg 2.41-2.43
Hg 0.8551 0.1449 0.5000  2 S 2.43
Cd 0.4217 0.1487 0.0000  2 S 2.81, 1 Br 3.02
Cd 0.5783 0.8513 0.0000  2 S 2.81, 1 Br 3.02
Br 0.2424 0.7576 0.0000  4 Cd 3.02-3.30, 2 Hg 3.33

***

No. 11
Density functional theory data (PBE-GGA) for a relaxed Li3Pd crystal.

## Properties
Its energy above the lowest structure with this stoichiometry is 3 meV/atom. The value obtained for the electronic total energy is -12.1 eV/f.u. The formation energy is -0.30 eV/atom. Its magnetic moment is 0.00 μB per formula unit. The calculated volume comes out at 59.5 Å³/cell.

abc: 4.7116 4.7116 4.7116
angles: 130.28 130.28 72.96
Last column: nearest neighbours and their distance in Å.
Element x y z (fractional)
Li 0.5000 0.5000 0.0000  8 Li 2.74, 4 Pd 2.80
Li 0.2500 0.7500 0.5000  8 Li 2.74-2.80, 4 Pd 2.74
Li 0.7500 0.2500 0.5000  8 Li 2.74-2.80, 4 Pd 2.74
Pd 0.0000 0.0000 0.0000  12 Li 2.74-2.80

***

No. 12
Density functional theory data (PBE-GGA) for a relaxed Na2CaS2O8 crystal.

## Properties
The value obtained for the electronic total energy is -78.5 eV/f.u. The formation energy is -2.42 eV/atom. The calculated volume comes out at 345.4 Å³/cell.

abc: 6.6175 6.6175 8.6999
angles: 72.95 72.95 78.33
Last column: nearest neighbours and their distance in Å.
Element x y z (fractional)
Ca 0.9388 0.0612 0.7500  6 O 2.35-2.51
O 0.9633 0.7884 0.5592  1 S 1.49
O 0.2116 0.0367 0.9408  1 S 1.49
O 0.3261 0.9998 0.6599  1 S 1.50
O 0.9998 0.3261 0.1599  1 S 1.50
S 0.9681 0.3998 0.3140  4 O 1.49-1.50
Na 0.6953 0.5861 0.0622  5 O 2.38-2.64
O 0.8947 0.4306 0.7233  1 S 1.49
Na 0.4139 0.3047 0.4378  5 O 2.38-2.64
Na 0.5861 0.6953 0.5622  5 O 2.38-2.64
O 0.0367 0.2116 0.4408  1 S 1.49
O 0.7884 0.9633 0.0592  1 S 1.49
O 0.2610 0.5185 0.6313  1 S 1.49
Ca 0.0612 0.9388 0.2500  6 O 2.35-2.51
O 0.4306 0.8947 0.2233  1 S 1.49
S 0.0319 0.6002 0.6860  4 O 1.49-1.50
Na 0.3047 0.4139 0.9378  5 O 2.38-2.64
O 0.1053 0.5694 0.2767  1 S 1.49
O 0.4815 0.7390 0.8687  1 S 1.49
S 0.3998 0.9681 0.8140  4 O 1.49-1.50
O 0.0002 0.6739 0.8401  1 S 1.50
S 0.6002 0.0319 0.1860  4 O 1.49-1.50
O 0.7390 0.4815 0.3687  1 S 1.49
O 0.5185 0.2610 0.1313  1 S 1.49
O 0.5694 0.1053 0.7767  1 S 1.49
O 0.6739 0.0002 0.3401  1 S 1.50